Material: LiPrSn
Method: DFT, PBE
State: relaxed

Cell: 9.598 9.598 7.764 Å, 90.00 90.00 120.00°
Fractional coordinates of all 24 atoms:
Li (0.834, 0.166, 0.712)
Li (0.333, 0.166, 0.712)
Li (0.834, 0.667, 0.712)
Li (0.166, 0.333, 0.212)
Li (0.667, 0.834, 0.212)
Li (0.667, 0.333, 0.340)
Li (0.333, 0.667, 0.840)
Li (0.166, 0.834, 0.212)
Sn (0.833, 0.167, 0.271)
Sn (0.167, 0.833, 0.771)
Sn (0.167, 0.334, 0.771)
Sn (0.833, 0.666, 0.271)
Sn (0.666, 0.833, 0.771)
Sn (0.667, 0.333, 0.730)
Sn (0.334, 0.167, 0.271)
Sn (0.333, 0.667, 0.230)
Pr (0.000, 0.000, 0.997)
Pr (0.026, 0.513, 0.504)
Pr (0.487, 0.974, 0.504)
Pr (0.513, 0.487, 0.004)
Pr (0.974, 0.487, 0.004)
Pr (0.513, 0.026, 0.004)
Pr (0.000, 0.000, 0.497)
Pr (0.487, 0.513, 0.504)

For the theoretical density, the calculation gives 5.72 g/cm3. The total energy comes out at -4.2271 eV per atom. Its magnetization is 0.000 μB/atom.

---

Material: In2SnPb
Method: DFT, PBE
State: relaxed

Cell: 3.305 3.305 10.608 Å, 90.00 90.00 90.00°
Fractional coordinates of all 4 atoms:
In (0.500, 0.500, 0.747)
In (0.000, 0.000, 0.499)
Pb (0.000, 0.000, 0.002)
Sn (0.500, 0.500, 0.252)

For the theoretical density, the calculation gives 7.96 g/cm3. The total energy comes out at -3.2739 eV per atom. Its magnetization is 0.001 μB/atom.

---

Material: Pu3Co
Method: DFT, PBE
State: relaxed

Cell: 5.818 5.818 9.026 Å, 90.00 90.00 145.99°
Fractional coordinates of all 8 atoms:
Co (0.779, 0.221, 0.750)
Co (0.221, 0.779, 0.250)
Pu (0.077, 0.923, 0.750)
Pu (0.367, 0.633, 0.946)
Pu (0.923, 0.077, 0.250)
Pu (0.633, 0.367, 0.446)
Pu (0.633, 0.367, 0.054)
Pu (0.367, 0.633, 0.554)

For the theoretical density, the calculation gives 15.37 g/cm3. The total energy comes out at -11.7380 eV per atom. Its magnetization is 1.126 μB/atom.

---

Material: Mg6NiB
Method: DFT, PBE
State: relaxed

Cell: 6.773 6.773 3.546 Å, 90.00 90.00 105.64°
Fractional coordinates of all 8 atoms:
Mg (0.307, 0.070, 0.500)
Mg (0.596, 0.828, 0.000)
Mg (0.172, 0.404, 0.000)
Mg (0.930, 0.693, 0.500)
Mg (0.846, 0.154, 0.500)
Mg (0.619, 0.381, 0.000)
Ni (0.299, 0.701, 0.500)
B (0.230, 0.770, 0.000)

For the theoretical density, the calculation gives 2.28 g/cm3. The total energy comes out at -2.6467 eV per atom. Its magnetization is 0.000 μB/atom.

---

Material: Ba2NdMgRuO6
Method: DFT, PBE
State: relaxed

Cell: 6.378 6.035 6.378 Å, 61.76 58.02 61.76°
Fractional coordinates of all 11 atoms:
Ru (0.500, 0.500, 0.500)
O (0.752, 0.723, 0.248)
O (0.731, 0.269, 0.731)
O (0.248, 0.277, 0.752)
O (0.248, 0.723, 0.752)
O (0.269, 0.731, 0.269)
O (0.752, 0.277, 0.248)
Mg (0.000, 0.500, 0.000)
Ba (0.689, 0.811, 0.689)
Ba (0.311, 0.189, 0.311)
Nd (0.000, 0.000, 0.000)

For the theoretical density, the calculation gives 6.07 g/cm3. The total energy comes out at -6.5203 eV per atom. The energy with MP2020 corrections is -6.90 eV per atom. Its magnetization is 0.091 μB/atom.

---

Material: GdMnB4
Method: DFT, PBE
State: relaxed

Cell: 3.429 5.935 11.476 Å, 90.00 90.00 90.00°
Fractional coordinates of all 24 atoms:
Mn (0.000, 0.372, 0.916)
Mn (0.000, 0.872, 0.584)
Mn (0.000, 0.128, 0.416)
Mn (0.000, 0.628, 0.084)
B (0.500, 0.861, 0.032)
B (0.500, 0.639, 0.532)
B (0.500, 0.220, 0.816)
B (0.500, 0.612, 0.954)
B (0.500, 0.976, 0.310)
B (0.500, 0.888, 0.454)
B (0.500, 0.388, 0.046)
B (0.500, 0.361, 0.468)
B (0.500, 0.780, 0.184)
B (0.500, 0.280, 0.316)
B (0.500, 0.524, 0.810)
B (0.500, 0.720, 0.684)
B (0.500, 0.112, 0.546)
B (0.500, 0.139, 0.968)
B (0.500, 0.476, 0.190)
B (0.500, 0.024, 0.690)
Gd (0.000, 0.874, 0.850)
Gd (0.000, 0.374, 0.650)
Gd (0.000, 0.126, 0.150)
Gd (0.000, 0.626, 0.350)

For the theoretical density, the calculation gives 7.27 g/cm3. The total energy comes out at -8.9511 eV per atom.